No. 1
The following is a DFT calculation (PBE+U) of an optimized crystal structure of Sr20V15O49.

total magnetization = 17.002 μB per cell
DFT total energy = -600.745 eV per cell
V = 1091.5 Å³/cell
symmetry = I4 (79)

Cell: 15.4775 15.4775 15.4775 Å, 147.07 147.07 47.26°
With the nearest neighbours (Å) after each atom.
Fractional positions:
Sr  0.1721  0.7585  0.7942  11 O 2.67-2.80
O  0.2117  0.2117  0.0000  1 V 1.77
O  0.0161  0.8127  0.4107  1 V 1.99
O  0.2715  0.1602  0.7055  2 V 1.91-2.03
Sr  0.7585  0.9643  0.5864  11 O 2.67-2.80
O  0.7873  0.7873  0.0000  1 V 2.03
V  0.7992  0.5989  0.3981  5 O 1.87-1.98
Sr  0.7023  0.7023  0.0000  5 O 2.41-2.67
O  0.1602  0.4547  0.8887  2 V 1.91-2.03
O  0.0396  0.9423  0.7132  2 V 1.93-2.03
Sr  0.4327  0.4327  0.0000  12 O 2.73-2.84
Sr  0.5109  0.3053  0.4117  6 O 2.49-2.77
V  0.5359  0.9383  0.1960  6 O 1.90-2.04
Sr  0.4959  0.6968  0.5986  7 O 2.50-2.79
O  0.1371  0.6371  0.5000  2 V 1.98
O  0.9656  0.0643  0.3071  2 V 1.90-2.00
O  0.5336  0.4405  0.6969  2 V 1.90-2.03
O  0.3264  0.0396  0.0973  2 V 1.93-2.03
O  0.4405  0.7437  0.9070  2 V 1.90-2.03
O  0.0995  0.1914  0.2808  1 V 1.87
O  0.7381  0.5452  0.4153  1 V 1.87
V  0.4011  0.7992  0.2003  5 O 1.87-1.98
V  0.5989  0.2007  0.7997  5 O 1.87-1.98
Sr  0.2418  0.0333  0.4133  12 O 2.71-2.93
O  0.9423  0.2291  0.9027  2 V 1.93-2.03
V  0.0593  0.2571  0.5972  6 O 1.90-2.11
Sr  0.3779  0.1721  0.4136  11 O 2.67-2.80
Sr  0.0982  0.8974  0.4014  7 O 2.50-2.79
O  0.8624  0.3624  0.5000  2 V 1.97
O  0.0006  0.5006  0.5000  2 V 1.96
O  0.9927  0.1892  0.6020  1 V 1.98
V  0.7423  0.3398  0.8040  6 O 1.90-2.04
V  0.4621  0.0593  0.8022  6 O 1.90-2.11
O  0.6654  0.2689  0.7998  2 V 1.91-2.04
Sr  0.8974  0.4959  0.7991  7 O 2.50-2.79
O  0.5872  0.3907  0.3980  1 V 1.98
Sr  0.8285  0.2418  0.2084  12 O 2.71-2.93
O  0.7572  0.6584  0.6929  2 V 1.90-2.00
O  0.8367  0.5336  0.0930  2 V 1.90-2.03
V  0.6599  0.4621  0.4028  6 O 1.90-2.11
O  0.5660  0.2715  0.1113  2 V 1.91-2.03
O  0.8127  0.4020  0.7966  1 V 1.99
O  0.8656  0.6654  0.3965  2 V 1.91-2.04
O  0.6584  0.9656  0.9013  2 V 1.90-2.00
V  0.9921  0.9921  0.0000  5 O 1.72-1.87
O  0.0643  0.7572  0.0987  2 V 1.90-2.00
O  0.1914  0.9106  0.0919  1 V 1.87
Sr  0.5677  0.5677  0.0000  12 O 2.76-2.81
O  0.4547  0.5660  0.2945  2 V 1.91-2.03
V  0.1494  0.1494  0.0000  5 O 1.77-1.93
O  0.3624  0.8624  0.5000  2 V 1.97
Sr  0.0333  0.6201  0.7916  12 O 2.71-2.93
Sr  0.8936  0.0992  0.5883  6 O 2.49-2.77
Sr  0.3053  0.8936  0.7944  6 O 2.49-2.77
O  0.5006  0.0006  0.5000  2 V 1.96
Sr  0.6201  0.8285  0.5867  12 O 2.71-2.93
O  0.4020  0.6054  0.5893  1 V 1.99
O  0.5982  0.7013  0.3009  2 V 1.93-1.98
O  0.5452  0.1299  0.8071  1 V 1.87
O  0.3228  0.7381  0.1929  1 V 1.87
O  0.9313  0.9313  0.0000  1 V 1.72
O  0.1892  0.5872  0.1965  1 V 1.98
V  0.2571  0.6599  0.1978  6 O 1.90-2.11
O  0.2973  0.5982  0.8969  2 V 1.93-1.98
V  0.9383  0.7423  0.4024  6 O 1.90-2.04
O  0.2291  0.3264  0.2868  2 V 1.93-2.03
V  0.3398  0.5359  0.5976  6 O 1.90-2.04
O  0.7437  0.8367  0.3031  2 V 1.90-2.03
O  0.6371  0.1371  0.5000  2 V 1.98
Sr  0.3001  0.3001  0.0000  9 O 2.51-2.77
Sr  0.9643  0.3779  0.2058  11 O 2.67-2.80
O  0.4691  0.8656  0.2002  2 V 1.91-2.04
O  0.8187  0.0995  0.9081  1 V 1.87
O  0.9106  0.8187  0.7192  1 V 1.87
O  0.2689  0.4691  0.6035  2 V 1.91-2.04
O  0.3907  0.9927  0.8035  1 V 1.98
Sr  0.0992  0.5109  0.2056  6 O 2.49-2.77
O  0.4004  0.2973  0.6991  2 V 1.93-1.98
O  0.1299  0.3228  0.5847  1 V 1.87
O  0.7013  0.4004  0.1031  2 V 1.93-1.98
Sr  0.6968  0.0982  0.2009  7 O 2.50-2.79
V  0.2007  0.4011  0.6019  5 O 1.87-1.98
V  0.8587  0.8587  0.0000  6 O 2.00-2.06
O  0.6054  0.0161  0.2034  1 V 1.99

---

No. 2
The following is a DFT calculation (PBE+U) of an optimized crystal structure of Mn12O7F17.

total magnetization = 53.001 μB per cell
DFT total energy = -237.222 eV per cell
V = 444.1 Å³/cell
symmetry = P1 (1)
ΔE to the lowest computed polymorph = 0.0000 eV/atom

Cell: 4.8426 5.8224 15.8211 Å, 88.82 89.23 84.80°
With the nearest neighbours (Å) after each atom.
Fractional positions:
Mn  0.5053  0.6479  0.2570  2 O 1.91-1.92, 2 F 2.01-2.02
F  0.2137  0.1096  0.3562  3 Mn 2.14-2.23
F  0.2410  0.1045  0.0187  3 Mn 2.19-2.21
F  0.2670  0.3837  0.5144  2 Mn 2.01-2.13
O  0.7177  0.3929  0.3089  3 Mn 1.91-1.99
Mn  0.4898  0.6488  0.5955  2 O 1.88-1.94, 2 F 2.00-2.03
Mn  0.9900  0.1707  0.9047  5 F 2.06-2.26, 1 O 2.07
F  0.2281  0.8813  0.8529  3 Mn 2.04-2.13
F  0.7232  0.6204  0.4880  2 Mn 2.03-2.17
Mn  0.9679  0.1665  0.2452  2 O 1.99-2.04, 4 F 2.14-2.19
F  0.2379  0.8810  0.5317  3 Mn 2.00-2.20
O  0.2750  0.6091  0.0366  3 Mn 1.97-2.06
F  0.3008  0.3792  0.8566  2 Mn 2.01-2.14
Mn  0.4915  0.6727  0.9269  4 F 2.04-2.16, 1 O 2.06
O  0.2664  0.6096  0.6966  3 Mn 1.94-2.01
F  0.7570  0.1216  0.4684  3 Mn 2.01-2.21
O  0.2865  0.6095  0.3573  3 Mn 1.90-2.01
Mn  0.5132  0.3485  0.7470  3 O 1.91-2.01, 1 F 2.01
F  0.7314  0.3820  0.9805  3 Mn 2.02-2.13
F  0.7866  0.8866  0.9744  3 Mn 2.04-2.26
F  0.7504  0.6184  0.8159  3 Mn 2.14-2.33
Mn  0.9949  0.8489  0.7467  2 O 1.95-2.00, 4 F 2.03-2.14
Mn  0.0030  0.8231  0.4168  1 O 2.01, 5 F 2.11-2.23
O  0.7777  0.1129  0.1338  3 Mn 1.97-2.04
F  0.2731  0.3720  0.1905  2 Mn 1.98-2.15
O  0.7762  0.1113  0.7959  3 Mn 1.95-2.07
Mn  0.0042  0.8464  0.0843  2 O 1.97-1.99, 4 F 2.04-2.21
F  0.2374  0.1030  0.6904  3 Mn 2.10-2.25
Mn  0.9918  0.1830  0.5832  1 O 2.00, 5 F 2.10-2.23
F  0.7633  0.8903  0.3072  3 Mn 2.11-2.17
F  0.2350  0.8749  0.1962  3 Mn 2.01-2.19
F  0.7769  0.8902  0.6378  3 Mn 2.03-2.23
O  0.7073  0.3953  0.6427  3 Mn 1.88-2.00
Mn  0.4928  0.3365  0.0842  2 O 1.97, 3 F 1.98-2.19
Mn  0.4911  0.3493  0.4070  2 O 1.90-1.91, 2 F 2.01
F  0.7350  0.6184  0.1500  2 Mn 2.02-2.18

---

No. 3
The following is a DFT calculation (PBE+U) of an optimized crystal structure of Li4Mn3Cr2O10.

total magnetization = 17.000 μB per cell
DFT total energy = -129.122 eV per cell
V = 186.4 Å³/cell
symmetry = P1 (1)
ΔE to the lowest computed polymorph = 0.0000 eV/atom

Cell: 5.1245 5.2269 7.7981 Å, 108.78 101.69 100.74°
With the nearest neighbours (Å) after each atom.
Fractional positions:
Li  0.5031  0.4892  0.5095  5 O 2.03-2.19
Cr  0.1062  0.6968  0.6900  6 O 1.97-2.11
Mn  0.3044  0.1091  0.1021  6 O 1.93-2.15
Li  0.7932  0.0824  0.5912  5 O 2.07-2.25
O  0.9246  0.9077  0.1368  3 Mn 1.98-2.21, 1 Li 2.09, 1 Cr 2.11
Mn  0.9997  0.4983  0.9959  4 O 1.97-2.12
O  0.6746  0.2734  0.0445  3 Mn 2.01-2.13, 1 Cr 2.06
O  0.3446  0.7386  0.9537  3 Mn 1.98-2.12, 1 Cr 2.09
O  0.0332  0.0685  0.8568  2 Mn 1.94-2.05, 1 Cr 2.11
O  0.7782  0.5376  0.7720  2 Mn 1.95-1.97, 1 Cr 2.05, 1 Li 2.15
O  0.4695  0.8704  0.6648  1 Mn 1.88, 1 Cr 1.99, 2 Li 2.03-2.10
O  0.8739  0.6861  0.4503  2 Cr 1.98-1.99, 4 Li 2.06-2.19
O  0.1188  0.3183  0.5408  2 Cr 1.93-1.97, 3 Li 2.02-2.10
Li  0.2203  0.9537  0.4417  4 O 2.02-2.15
Mn  0.6936  0.8878  0.8938  6 O 1.88-2.02
Li  0.6095  0.7232  0.2284  4 O 2.06-2.12
O  0.5375  0.1142  0.3319  1 Mn 1.93, 1 Cr 2.00, 3 Li 2.07-2.14
Cr  0.8962  0.3035  0.3048  6 O 1.93-2.11
O  0.2315  0.4674  0.2215  2 Mn 1.95-1.99, 1 Cr 2.09, 1 Li 2.12

---

No. 4
The following is a DFT calculation (PBE+U) of an optimized crystal structure of Li7V2P7O24.

total magnetization = 8.000 μB per cell
DFT total energy = -549.612 eV per cell
V = 921.1 Å³/cell
symmetry = P2/c (13)

Cell: 5.2036 11.7361 15.1893 Å, 83.21 90.00 90.00°
With the nearest neighbours (Å) after each atom.
Fractional positions:
Li  0.1582  0.9373  0.4087  3 O 1.93-2.13
Li  0.8418  0.0627  0.5913  3 O 1.93-2.13
O  0.8935  0.4554  0.0802  1 P 1.53
P  0.6112  0.0476  0.2784  4 O 1.53-1.62
O  0.8656  0.7849  0.1679  1 P 1.54
Li  0.1582  0.5627  0.5913  3 O 1.93-2.13
P  0.1240  0.6579  0.8593  4 O 1.50-1.64
P  0.4320  0.7500  0.0000  4 O 1.51-1.60
O  0.1065  0.5446  0.9198  1 P 1.53
V  0.6375  0.6891  0.7215  6 O 2.00-2.21
O  0.2837  0.4844  0.2037  1 P 1.53
O  0.9677  0.7032  0.6403  1 P 1.54
O  0.5766  0.6375  0.0150  1 P 1.51
O  0.1065  0.9554  0.0802  1 P 1.53
O  0.5916  0.8615  0.7506  1 P 1.53
O  0.8656  0.7151  0.8321  1 P 1.54
O  0.9529  0.1268  0.4743  1 P 1.51
O  0.7616  0.2445  0.0820  2 P 1.60-1.64
O  0.1344  0.2849  0.1679  1 P 1.54
O  0.5916  0.6385  0.2494  1 P 1.53
Li  0.2604  0.0163  0.9503  3 O 1.98-2.17
Li  0.2884  0.2500  0.5000  4 O 2.16-2.33
O  0.9529  0.3732  0.5257  1 P 1.51
O  0.5654  0.2349  0.3965  1 P 1.55
P  0.3888  0.5476  0.2784  4 O 1.53-1.62
O  0.5204  0.5458  0.6483  1 P 1.54
P  0.8760  0.1579  0.8593  4 O 1.50-1.64
O  0.0471  0.8732  0.5257  1 P 1.51
V  0.3625  0.1891  0.7215  6 O 2.00-2.21
O  0.7163  0.5156  0.7963  1 P 1.53
P  0.3888  0.9524  0.7216  4 O 1.53-1.62
Li  0.7116  0.7500  0.5000  4 O 2.16-2.33
Li  0.7919  0.8835  0.8644  4 O 2.06-2.22
P  0.8760  0.3421  0.1407  4 O 1.50-1.64
O  0.4796  0.4542  0.3517  1 P 1.54
O  0.5766  0.8625  0.9850  1 P 1.51
O  0.2384  0.7555  0.9180  2 P 1.60-1.64
O  0.9677  0.7968  0.3597  1 P 1.54
O  0.1344  0.2151  0.8321  1 P 1.54
Li  0.8418  0.4373  0.4087  3 O 1.93-2.13
O  0.5654  0.2651  0.6035  1 P 1.55
O  0.4346  0.7651  0.6035  1 P 1.55
O  0.7616  0.2555  0.9180  2 P 1.60-1.64
O  0.3029  0.8477  0.2174  1 P 1.50
O  0.1401  0.6104  0.3145  2 P 1.62-1.64
O  0.0323  0.2968  0.3597  1 P 1.54
O  0.3029  0.6523  0.7826  1 P 1.50
O  0.6971  0.3477  0.2174  1 P 1.50
Li  0.2604  0.4837  0.0497  3 O 1.98-2.17
O  0.6971  0.1523  0.7826  1 P 1.50
O  0.2837  0.0156  0.7963  1 P 1.53
Li  0.2081  0.3835  0.8644  4 O 2.06-2.22
O  0.2384  0.7445  0.0820  2 P 1.60-1.64
V  0.3625  0.3109  0.2785  6 O 2.00-2.21
O  0.7163  0.9844  0.2037  1 P 1.53
O  0.4796  0.0458  0.6483  1 P 1.54
O  0.8935  0.0446  0.9198  1 P 1.53
P  0.1501  0.8035  0.6084  4 O 1.51-1.64
O  0.4084  0.3615  0.7506  1 P 1.53
O  0.4084  0.1385  0.2494  1 P 1.53
O  0.5204  0.9542  0.3517  1 P 1.54
O  0.0323  0.2032  0.6403  1 P 1.54
P  0.8499  0.1965  0.3916  4 O 1.51-1.64
P  0.8499  0.3035  0.6084  4 O 1.51-1.64
O  0.1401  0.8896  0.6855  2 P 1.62-1.64
O  0.8599  0.3896  0.6855  2 P 1.62-1.64
Li  0.7396  0.9837  0.0497  3 O 1.98-2.17
Li  0.7919  0.6165  0.1356  4 O 2.06-2.22
P  0.5680  0.2500  0.0000  4 O 1.51-1.60
P  0.1501  0.6965  0.3916  4 O 1.51-1.64
O  0.4346  0.7349  0.3965  1 P 1.55
P  0.1240  0.8421  0.1407  4 O 1.50-1.64
Li  0.7396  0.5163  0.9503  3 O 1.98-2.17
P  0.6112  0.4524  0.7216  4 O 1.53-1.62
O  0.0471  0.6268  0.4743  1 P 1.51
O  0.8599  0.1104  0.3145  2 P 1.62-1.64
Li  0.2081  0.1165  0.1356  4 O 2.06-2.22
V  0.6375  0.8109  0.2785  6 O 2.00-2.21
O  0.4234  0.1375  0.0150  1 P 1.51
O  0.4234  0.3625  0.9850  1 P 1.51

---

| no. | ΔH_f (0 K) (eV/f.u.) |
| --- | --- |
| 1 | -247.409 |
| 2 | -92.773 |
| 3 | -41.086 |
| 4 | -106.519 |